No. 1
Below is a relaxed structure of Sb3IO4, with properties calculated at the PBE level.

Unit cell a=16.2134 b=14.5561 c=11.4694 alpha=90.00 beta=110.04 gamma=90.00
Fractional positions:
Sb1 0.9995 0.1112 0.2444
Sb2 0.9995 0.3888 0.7444
Sb3 0.0005 0.6112 0.2556
Sb4 0.0005 0.8888 0.7556
Sb5 0.1021 0.5575 0.5386
Sb6 0.1021 0.9425 0.0386
Sb7 0.2274 0.1371 0.3500
Sb8 0.2274 0.3629 0.8500
Sb9 0.2791 0.1847 0.6629
Sb10 0.2791 0.3153 0.1629
Sb11 0.4171 0.5975 0.9310
Sb12 0.4171 0.9025 0.4310
Sb13 0.4889 0.0814 0.7631
Sb14 0.4889 0.4186 0.2631
Sb15 0.5111 0.5814 0.7369
Sb16 0.5111 0.9186 0.2369
Sb17 0.5829 0.0975 0.5690
Sb18 0.5829 0.4025 0.0690
Sb19 0.7209 0.6847 0.8371
Sb20 0.7209 0.8153 0.3371
Sb21 0.7726 0.6371 0.1500
Sb22 0.7726 0.8629 0.6500
Sb23 0.8979 0.0575 0.9614
Sb24 0.8979 0.4425 0.4614
I1 0.0994 0.6924 0.7152
I2 0.0994 0.8076 0.2152
I3 0.4521 0.7081 0.4854
I4 0.4521 0.7919 0.9854
I5 0.5479 0.2081 0.0146
I6 0.5479 0.2919 0.5146
I7 0.9006 0.1924 0.7848
I8 0.9006 0.3076 0.2848
O1 0.0094 0.0180 0.1105
O2 0.0094 0.4820 0.6105
O3 0.0880 0.6591 0.4089
O4 0.0880 0.8409 0.9089
O5 0.1068 0.1805 0.2522
O6 0.1068 0.3195 0.7522
O7 0.2485 0.2281 0.4874
O8 0.2485 0.2719 0.9874
O9 0.2832 0.1941 0.2410
O10 0.2832 0.3059 0.7410
O11 0.3995 0.6276 0.7530
O12 0.3995 0.8724 0.2530
O13 0.4071 0.1848 0.6975
O14 0.4071 0.3152 0.1975
O15 0.4711 0.0446 0.5792
O16 0.4711 0.4554 0.0792
O17 0.5289 0.5446 0.9208
O18 0.5289 0.9554 0.4208
O19 0.5929 0.6848 0.8025
O20 0.5929 0.8152 0.3025
O21 0.6005 0.1276 0.7470
O22 0.6005 0.3724 0.2470
O23 0.7168 0.6941 0.2590
O24 0.7168 0.8059 0.7590
O25 0.7515 0.7281 0.0126
O26 0.7515 0.7719 0.5126
O27 0.8932 0.6805 0.2478
O28 0.8932 0.8195 0.7478
O29 0.9120 0.1591 0.0911
O30 0.9120 0.3409 0.5911
O31 0.9906 0.5180 0.3895
O32 0.9906 0.9820 0.8895

- Final energy: -5.24 eV per atom
- Space group: P2_1/c, No. 14
- Energy with MP2020 corrections: -357.33 eV/cell
- Size of the total moment: 0.00 μB/cell

No. 2
Below is a relaxed structure of Sb3IO4, with properties calculated at the PBE level.

Unit cell a=19.2914 b=4.6362 c=16.0851 alpha=90.00 beta=90.00 gamma=90.00
Fractional positions:
Sb1 0.0093 0.1589 0.1610
Sb2 0.0413 0.6474 0.0000
Sb3 0.1197 0.3776 0.5860
Sb4 0.1278 0.6309 0.3827
Sb5 0.2108 0.1537 0.9677
Sb6 0.2428 0.6697 0.8069
Sb7 0.2572 0.1697 0.3069
Sb8 0.2892 0.6537 0.4677
Sb9 0.3722 0.1309 0.8827
Sb10 0.3803 0.8776 0.0860
Sb11 0.4587 0.1474 0.5000
Sb12 0.4907 0.6589 0.6610
Sb13 0.5093 0.3411 0.1610
Sb14 0.5413 0.8526 0.0000
Sb15 0.6197 0.1224 0.5860
Sb16 0.6278 0.8691 0.3827
Sb17 0.7108 0.3463 0.9677
Sb18 0.7428 0.8303 0.8069
Sb19 0.7572 0.3303 0.3069
Sb20 0.7892 0.8463 0.4677
Sb21 0.8722 0.3691 0.8827
Sb22 0.8803 0.6224 0.0860
Sb23 0.9587 0.3526 0.5000
Sb24 0.9907 0.8411 0.6610
I1 0.0713 0.2726 0.8264
I2 0.1815 0.7726 0.1412
I3 0.3185 0.2726 0.6412
I4 0.4287 0.7726 0.3264
I5 0.5713 0.2274 0.8264
I6 0.6815 0.7274 0.1412
I7 0.8185 0.2274 0.6412
I8 0.9287 0.7274 0.3264
O1 0.0074 0.2520 0.6153
O2 0.0468 0.2483 0.0467
O3 0.0645 0.3839 0.4738
O4 0.0889 0.7614 0.6266
O5 0.1584 0.2529 0.3388
O6 0.1832 0.6176 0.4938
O7 0.2055 0.7543 0.9219
O8 0.2404 0.7588 0.3530
O9 0.2596 0.2588 0.8530
O10 0.2945 0.2543 0.4219
O11 0.3168 0.1176 0.9938
O12 0.3416 0.7529 0.8388
O13 0.4111 0.2614 0.1266
O14 0.4355 0.8839 0.9738
O15 0.4532 0.7483 0.5467
O16 0.4926 0.7520 0.1153
O17 0.5074 0.2480 0.6153
O18 0.5468 0.2517 0.0467
O19 0.5645 0.1161 0.4738
O20 0.5889 0.7386 0.6266
O21 0.6584 0.2471 0.3388
O22 0.6832 0.8824 0.4938
O23 0.7055 0.7457 0.9219
O24 0.7404 0.7412 0.3530
O25 0.7596 0.2412 0.8530
O26 0.7945 0.2457 0.4219
O27 0.8168 0.3824 0.9938
O28 0.8416 0.7471 0.8388
O29 0.9111 0.2386 0.1266
O30 0.9355 0.6161 0.9738
O31 0.9532 0.7517 0.5467
O32 0.9926 0.7480 0.1153

- Final energy: -5.41 eV per atom
- Space group: Pna2_1, No. 33
- Energy with MP2020 corrections: -368.10 eV/cell

No. 3
Below is a relaxed structure of Sb3IO4, with properties calculated at the PBE level.

Unit cell a=18.7089 b=4.6008 c=19.2780 alpha=90.00 beta=120.86 gamma=90.00
Fractional positions:
Sb1 0.0149 0.1626 0.1720
Sb2 0.0149 0.3374 0.6720
Sb3 0.1013 0.1363 0.0552
Sb4 0.1013 0.3637 0.5552
Sb5 0.1769 0.6770 0.2229
Sb6 0.1769 0.8230 0.7229
Sb7 0.3225 0.6688 0.0455
Sb8 0.3225 0.8312 0.5455
Sb9 0.3984 0.1297 0.9540
Sb10 0.3984 0.3703 0.4540
Sb11 0.4839 0.1552 0.1572
Sb12 0.4839 0.3448 0.6572
Sb13 0.5161 0.6552 0.3428
Sb14 0.5161 0.8448 0.8428
Sb15 0.6016 0.6297 0.5460
Sb16 0.6016 0.8703 0.0460
Sb17 0.6775 0.1688 0.4545
Sb18 0.6775 0.3312 0.9545
Sb19 0.8231 0.1770 0.2771
Sb20 0.8231 0.3230 0.7771
Sb21 0.8987 0.6363 0.4448
Sb22 0.8987 0.8637 0.9448
Sb23 0.9851 0.6626 0.3280
Sb24 0.9851 0.8374 0.8280
I1 0.1592 0.2292 0.8836
I2 0.1592 0.2708 0.3836
I3 0.3415 0.2347 0.7261
I4 0.3415 0.2653 0.2261
I5 0.6585 0.7347 0.7739
I6 0.6585 0.7653 0.2739
I7 0.8408 0.7292 0.6164
I8 0.8408 0.7708 0.1164
O1 0.0110 0.6242 0.4467
O2 0.0110 0.8758 0.9467
O3 0.0608 0.7407 0.7000
O4 0.0608 0.7593 0.2000
O5 0.1305 0.2368 0.6820
O6 0.1305 0.2632 0.1820
O7 0.1453 0.7434 0.6084
O8 0.1453 0.7566 0.1084
O9 0.3554 0.7463 0.9633
O10 0.3554 0.7537 0.4633
O11 0.3683 0.2464 0.5519
O12 0.3683 0.2536 0.0519
O13 0.4380 0.7484 0.6393
O14 0.4380 0.7516 0.1393
O15 0.4896 0.6259 0.4357
O16 0.4896 0.8741 0.9357
O17 0.5104 0.1259 0.0643
O18 0.5104 0.3741 0.5643
O19 0.5620 0.2484 0.8607
O20 0.5620 0.2516 0.3607
O21 0.6317 0.7464 0.9481
O22 0.6317 0.7536 0.4481
O23 0.6446 0.2463 0.5367
O24 0.6446 0.2537 0.0367
O25 0.8547 0.2434 0.8916
O26 0.8547 0.2566 0.3916
O27 0.8695 0.7368 0.8180
O28 0.8695 0.7632 0.3180
O29 0.9392 0.2407 0.8000
O30 0.9392 0.2593 0.3000
O31 0.9890 0.1242 0.0533
O32 0.9890 0.3758 0.5533

- Final energy: -5.41 eV per atom
- Space group: P2_1/c, No. 14
- Energy with MP2020 corrections: -368.05 eV/cell
- Size of the total moment: 0.00 μB/cell

No. 4
Below is a relaxed structure of Sb8I2O11, with properties calculated at the PBE level.

Unit cell a=4.2314 b=10.1436 c=10.8205 alpha=106.97 beta=92.97 gamma=99.34
Fractional positions:
Sb1 0.0000 0.0000 0.0000
Sb2 0.0520 0.0112 0.5559
Sb3 0.2031 0.3817 0.5874
Sb4 0.2671 0.4638 0.0747
Sb5 0.3409 0.8219 0.2256
Sb6 0.6002 0.1694 0.2478
Sb7 0.7427 0.5181 0.4125
Sb8 0.8174 0.6299 0.9193
I1 0.3378 0.7788 0.7023
I2 0.5873 0.1875 0.7706
O1 0.0682 0.1434 0.1773
O2 0.0974 0.8814 0.3786
O3 0.1052 0.1729 0.4859
O4 0.2038 0.4511 0.4300
O5 0.2995 0.6284 0.2369
O6 0.3015 0.6059 0.9683
O7 0.5114 0.0403 0.0573
O8 0.6538 0.3654 0.2369
O9 0.6957 0.3959 0.5341
O10 0.7676 0.5113 0.0390
O11 0.9550 0.8208 0.0734

- Final energy: -5.47 eV per atom
- Space group: P1, No. 1
- Energy with MP2020 corrections: -122.32 eV/cell
- Size of the total moment: 0.00 μB/cell

No. 5
Below is a relaxed structure of SrI2O2, with properties calculated at the PBE level.

Unit cell a=4.7724 b=11.0112 c=11.8460 alpha=90.14 beta=100.84 gamma=90.42
Fractional positions:
Sr1 0.0000 0.0000 0.0000
Sr2 0.0048 0.0266 0.4923
Sr3 0.1847 0.4747 0.1937
Sr4 0.1974 0.5483 0.6942
I1 0.0040 0.7251 0.4555
I2 0.0053 0.2958 0.9530
I3 0.2288 0.2404 0.7113
I4 0.2331 0.7865 0.2165
I5 0.5993 0.3631 0.4581
I6 0.6321 0.6488 0.9584
I7 0.7856 0.8155 0.7600
I8 0.8125 0.1979 0.2532
O1 0.4686 0.0215 0.9340
O2 0.4773 0.9977 0.4357
O3 0.5155 0.9519 0.0312
O4 0.5289 0.0576 0.5397
O5 0.6282 0.4987 0.0973
O6 0.6366 0.5188 0.5973
O7 0.6957 0.5315 0.2151
O8 0.7040 0.4888 0.7143

- Final energy: -3.85 eV per atom
- Space group: P1, No. 1
- Energy with MP2020 corrections: -78.30 eV/cell
- Size of the total moment: 0.23 μB/cell

No. 6
Below is a relaxed structure of SrI2O2, with properties calculated at the PBE level.

Unit cell a=10.8658 b=4.1207 c=14.1914 alpha=90.00 beta=90.00 gamma=90.00
Fractional positions:
Sr1 0.1931 0.2500 0.1233
Sr2 0.3069 0.7500 0.6233
Sr3 0.6931 0.2500 0.3767
Sr4 0.8069 0.7500 0.8767
I1 0.0900 0.7500 0.3201
I2 0.1274 0.7500 0.8963
I3 0.3726 0.2500 0.3963
I4 0.4100 0.2500 0.8201
I5 0.5900 0.7500 0.1799
I6 0.6274 0.7500 0.6037
I7 0.8726 0.2500 0.1037
I8 0.9100 0.2500 0.6799
O1 0.1920 0.7500 0.0264
O2 0.2230 0.7500 0.2244
O3 0.2770 0.2500 0.7244
O4 0.3080 0.2500 0.5264
O5 0.6920 0.7500 0.4736
O6 0.7230 0.7500 0.2756
O7 0.7770 0.2500 0.7756
O8 0.8080 0.2500 0.9736

- Final energy: -3.97 eV per atom
- Space group: Pnma, No. 62
- Energy with MP2020 corrections: -84.81 eV/cell
- Size of the total moment: 0.00 μB/cell

No. 7
Below is a relaxed structure of SrI2O2, with properties calculated at the PBE level.

Unit cell a=4.6279 b=11.7930 c=11.6893 alpha=90.00 beta=95.85 gamma=90.00
Fractional positions:
Sr1 0.1099 0.1782 0.3599
Sr2 0.1099 0.3218 0.8599
Sr3 0.8901 0.6782 0.1401
Sr4 0.8901 0.8218 0.6401
I1 0.1053 0.0128 0.8882
I2 0.1053 0.4872 0.3882
I3 0.3157 0.0630 0.6318
I4 0.3157 0.4370 0.1318
I5 0.6843 0.5630 0.8682
I6 0.6843 0.9370 0.3682
I7 0.8947 0.5128 0.6118
I8 0.8947 0.9872 0.1118
O1 0.3781 0.7474 0.0935
O2 0.3781 0.7526 0.5935
O3 0.4095 0.7248 0.2098
O4 0.4095 0.7752 0.7098
O5 0.5905 0.2248 0.2902
O6 0.5905 0.2752 0.7902
O7 0.6219 0.2474 0.4065
O8 0.6219 0.2526 0.9065

- Final energy: -3.96 eV per atom
- Space group: P2_1/c, No. 14
- Energy with MP2020 corrections: -80.40 eV/cell
- Size of the total moment: 4.03 μB/cell

No. 8
Below is a relaxed structure of SrIO, with properties calculated at the PBE level.

Unit cell a=7.7115 b=4.1509 c=10.9493 alpha=90.00 beta=90.00 gamma=90.00
Fractional positions:
Sr1 0.1887 0.2500 0.0837
Sr2 0.3113 0.7500 0.5837
Sr3 0.6887 0.2500 0.4163
Sr4 0.8113 0.7500 0.9163
I1 0.0419 0.7500 0.3266
I2 0.4581 0.2500 0.8266
I3 0.5419 0.7500 0.1734
I4 0.9581 0.2500 0.6734
O1 0.1107 0.7500 0.9778
O2 0.3893 0.2500 0.4778
O3 0.6107 0.7500 0.5222
O4 0.8893 0.2500 0.0222

- Final energy: -4.26 eV per atom
- Space group: Pnma, No. 62
- Energy with MP2020 corrections: -53.87 eV/cell
- Size of the total moment: 4.00 μB/cell

Please write out number 7 again, unchanged.
Below is a relaxed structure of SrI2O2, with properties calculated at the PBE level.

Unit cell a=4.6279 b=11.7930 c=11.6893 alpha=90.00 beta=95.85 gamma=90.00
Fractional positions:
Sr1 0.1099 0.1782 0.3599
Sr2 0.1099 0.3218 0.8599
Sr3 0.8901 0.6782 0.1401
Sr4 0.8901 0.8218 0.6401
I1 0.1053 0.0128 0.8882
I2 0.1053 0.4872 0.3882
I3 0.3157 0.0630 0.6318
I4 0.3157 0.4370 0.1318
I5 0.6843 0.5630 0.8682
I6 0.6843 0.9370 0.3682
I7 0.8947 0.5128 0.6118
I8 0.8947 0.9872 0.1118
O1 0.3781 0.7474 0.0935
O2 0.3781 0.7526 0.5935
O3 0.4095 0.7248 0.2098
O4 0.4095 0.7752 0.7098
O5 0.5905 0.2248 0.2902
O6 0.5905 0.2752 0.7902
O7 0.6219 0.2474 0.4065
O8 0.6219 0.2526 0.9065

- Final energy: -3.96 eV per atom
- Space group: P2_1/c, No. 14
- Energy with MP2020 corrections: -80.40 eV/cell
- Size of the total moment: 4.03 μB/cell

Repeat the first record exactly.
Below is a relaxed structure of Sb3IO4, with properties calculated at the PBE level.

Unit cell a=16.2134 b=14.5561 c=11.4694 alpha=90.00 beta=110.04 gamma=90.00
Fractional positions:
Sb1 0.9995 0.1112 0.2444
Sb2 0.9995 0.3888 0.7444
Sb3 0.0005 0.6112 0.2556
Sb4 0.0005 0.8888 0.7556
Sb5 0.1021 0.5575 0.5386
Sb6 0.1021 0.9425 0.0386
Sb7 0.2274 0.1371 0.3500
Sb8 0.2274 0.3629 0.8500
Sb9 0.2791 0.1847 0.6629
Sb10 0.2791 0.3153 0.1629
Sb11 0.4171 0.5975 0.9310
Sb12 0.4171 0.9025 0.4310
Sb13 0.4889 0.0814 0.7631
Sb14 0.4889 0.4186 0.2631
Sb15 0.5111 0.5814 0.7369
Sb16 0.5111 0.9186 0.2369
Sb17 0.5829 0.0975 0.5690
Sb18 0.5829 0.4025 0.0690
Sb19 0.7209 0.6847 0.8371
Sb20 0.7209 0.8153 0.3371
Sb21 0.7726 0.6371 0.1500
Sb22 0.7726 0.8629 0.6500
Sb23 0.8979 0.0575 0.9614
Sb24 0.8979 0.4425 0.4614
I1 0.0994 0.6924 0.7152
I2 0.0994 0.8076 0.2152
I3 0.4521 0.7081 0.4854
I4 0.4521 0.7919 0.9854
I5 0.5479 0.2081 0.0146
I6 0.5479 0.2919 0.5146
I7 0.9006 0.1924 0.7848
I8 0.9006 0.3076 0.2848
O1 0.0094 0.0180 0.1105
O2 0.0094 0.4820 0.6105
O3 0.0880 0.6591 0.4089
O4 0.0880 0.8409 0.9089
O5 0.1068 0.1805 0.2522
O6 0.1068 0.3195 0.7522
O7 0.2485 0.2281 0.4874
O8 0.2485 0.2719 0.9874
O9 0.2832 0.1941 0.2410
O10 0.2832 0.3059 0.7410
O11 0.3995 0.6276 0.7530
O12 0.3995 0.8724 0.2530
O13 0.4071 0.1848 0.6975
O14 0.4071 0.3152 0.1975
O15 0.4711 0.0446 0.5792
O16 0.4711 0.4554 0.0792
O17 0.5289 0.5446 0.9208
O18 0.5289 0.9554 0.4208
O19 0.5929 0.6848 0.8025
O20 0.5929 0.8152 0.3025
O21 0.6005 0.1276 0.7470
O22 0.6005 0.3724 0.2470
O23 0.7168 0.6941 0.2590
O24 0.7168 0.8059 0.7590
O25 0.7515 0.7281 0.0126
O26 0.7515 0.7719 0.5126
O27 0.8932 0.6805 0.2478
O28 0.8932 0.8195 0.7478
O29 0.9120 0.1591 0.0911
O30 0.9120 0.3409 0.5911
O31 0.9906 0.5180 0.3895
O32 0.9906 0.9820 0.8895

- Final energy: -5.24 eV per atom
- Space group: P2_1/c, No. 14
- Energy with MP2020 corrections: -357.33 eV/cell
- Size of the total moment: 0.00 μB/cell

Q: Which formula does entry 4 have?
A: Sb8I2O11

Q: The highest energy with MP2020 corrections belongs to which entry?
A: SrIO